Entry from Materials Project: a relaxed structure of Ca7B14Rh20 (PBE-GGA).

Lattice parameters (Å, degrees): 20.8764 20.4901 5.6237 86.11 78.30 15.59
With the nearest neighbours (Å) after each atom.
Fractional positions:
Rh 0.1803 0.1803 0.3197  4 B 2.18-2.21
Rh 0.3917 0.3917 0.1083  4 B 2.18
Rh 0.8193 0.8193 0.1807  4 B 2.14-2.20
Rh 0.8197 0.8197 0.6803  4 B 2.18-2.21
Rh 0.4640 0.4640 0.0360  4 B 2.18-2.19
Rh 0.8917 0.8917 0.6083  4 B 2.18
Rh 0.0360 0.0360 0.4640  4 B 2.18-2.19
Rh 0.1083 0.1083 0.3917  4 B 2.18
Rh 0.2500 0.2500 0.2500  4 B 2.13
Rh 0.0360 0.0360 0.9640  4 B 2.18-2.19
Rh 0.6083 0.6083 0.8917  4 B 2.18
Rh 0.8920 0.8920 0.1080  4 B 2.18-2.19
Rh 0.9640 0.9640 0.0360  4 B 2.18-2.19
Rh 0.5360 0.5360 0.9640  4 B 2.18-2.19
Rh 0.9640 0.9640 0.5360  4 B 2.18-2.19
Rh 0.1807 0.1807 0.8193  4 B 2.14-2.20
Rh 0.1080 0.1080 0.8920  4 B 2.18-2.19
Rh 0.6803 0.6803 0.8197  4 B 2.18-2.21
Rh 0.3197 0.3197 0.1803  4 B 2.18-2.21
Rh 0.7500 0.7500 0.7500  4 B 2.13
B 0.9448 0.6222 0.3778  5 Rh 2.13-2.21
B 0.6222 0.9448 0.0552  5 Rh 2.13-2.21
B 0.6891 0.0223 0.9777  6 Rh 2.18-2.20
B 0.8337 0.1663 0.8337  6 Rh 2.18
B 0.9058 0.2386 0.7614  6 Rh 2.18-2.19
B 0.0942 0.7614 0.2386  6 Rh 2.18-2.19
B 0.0552 0.3778 0.6222  5 Rh 2.13-2.21
B 0.7614 0.0942 0.9058  6 Rh 2.18-2.19
B 0.2386 0.9058 0.0942  6 Rh 2.18-2.19
B 0.3778 0.0552 0.9448  5 Rh 2.13-2.21
B 0.9777 0.3109 0.6891  6 Rh 2.18-2.20
B 0.1663 0.8337 0.1663  6 Rh 2.18
B 0.0223 0.6891 0.3109  6 Rh 2.18-2.20
B 0.3109 0.9777 0.0223  6 Rh 2.18-2.20
Ca 0.6465 0.6465 0.3535  2 Ca 2.99-3.07, 12 Rh 3.12-3.21, 6 B 3.24-3.25
Ca 0.2778 0.2778 0.7222  6 B 2.95-3.22, 10 Rh 3.03-3.29, 1 Ca 3.07
Ca 0.3535 0.3535 0.6465  2 Ca 2.99-3.07, 12 Rh 3.12-3.21, 6 B 3.24-3.25
Ca 0.7222 0.7222 0.2778  6 B 2.95-3.22, 10 Rh 3.03-3.29, 1 Ca 3.07
Ca 0.4271 0.4271 0.5729  2 Ca 2.96-2.99, 12 Rh 3.14-3.19, 6 B 3.23-3.25
Ca 0.5729 0.5729 0.4271  2 Ca 2.96-2.99, 12 Rh 3.14-3.19, 6 B 3.23-3.25
Ca 0.5000 0.5000 0.5000  2 Ca 2.96, 12 Rh 3.16-3.17, 6 B 3.23-3.26

As for the space group: Fmmm. As for the formation energy from the elements: -0.618 eV/atom. Its crystal system is orthorhombic. Its total energy is -6.834 eV/atom.